Entry 1:
Entry from the Materials Project database: an optimized crystal structure of Dy3Cu4Ge4 (PBE).

Lattice parameters (Å, degrees): 7.985 7.985 7.985 149.58 130.81 58.94
Fractional coordinates of all 11 atoms:
Dy  0.000  0.000  0.000
Dy  0.370  0.870  0.500
Dy  0.630  0.130  0.500
Cu  0.021  0.331  0.690
Cu  0.359  0.669  0.690
Cu  0.641  0.331  0.310
Cu  0.979  0.669  0.310
Ge  0.217  0.217  0.000
Ge  0.308  0.500  0.808
Ge  0.692  0.500  0.192
Ge  0.783  0.783  0.000

---

Entry 2:
Entry from the Materials Project database: an optimized crystal structure of DyCuGe (PBE).

Lattice parameters (Å, degrees): 4.229 4.229 3.711 90.00 90.00 120.00
Fractional coordinates of all 3 atoms:
Dy  0.000  0.000  0.000
Cu  0.333  0.667  0.500
Ge  0.667  0.333  0.500

---

Entry 3:
Entry from the Materials Project database: an optimized crystal structure of DyCuGe (PBE).

Lattice parameters (Å, degrees): 4.271 4.271 7.197 90.00 90.00 120.00
Fractional coordinates of all 6 atoms:
Dy  0.000  0.000  0.000
Dy  0.000  0.000  0.500
Cu  0.333  0.667  0.286
Cu  0.667  0.333  0.786
Ge  0.333  0.667  0.724
Ge  0.667  0.333  0.224

---

| no. | DFT formation energy (eV per atom) | mass density (g cm⁻³) |
| --- | --- | --- |
| 1 | -0.63 | 8.85 |
| 2 | -0.64 | 8.63 |
| 3 | -0.69 | 8.73 |